VASP calculation (GGA+U) on a relaxed Li4MnCo2O7 crystal.

POSCAR file:
```
Li4MnCo2O7
1.0
-7.649 -0.167 -1.425
-7.565 -1.376 1.205
-7.446 9.679 4.689
Li O Co Mn
8 14 4 2
Direct
0.495 0.495 0.501 Li
0.648 0.648 0.772 Li
0.075 0.075 0.640 Li
0.214 0.214 0.927 Li
0.784 0.784 0.076 Li
0.289 0.289 0.570 Li
0.353 0.353 0.222 Li
0.926 0.926 0.365 Li
0.311 0.311 0.396 O
0.677 0.677 0.600 O
0.122 0.122 0.454 O
0.261 0.261 0.749 O
0.597 0.597 0.969 O
0.453 0.453 0.680 O
0.172 0.172 0.111 O
0.743 0.743 0.251 O
0.971 0.971 0.178 O
0.891 0.891 0.551 O
0.542 0.542 0.317 O
0.402 0.402 0.031 O
0.023 0.023 0.823 O
0.835 0.835 0.877 O
0.570 0.570 0.150 Co
0.714 0.714 0.446 Co
0.429 0.429 0.852 Co
0.147 0.147 0.287 Co
0.999 0.999 0.001 Mn
0.858 0.858 0.705 Mn
```

Properties
volume: 253 Å³ per cell
energy of formation: -1.827 eV/atom
electronic total energy: -5.820 eV/atom
ΔE to the lowest computed polymorph: 0.057 eV/atom

=====

VASP calculation (GGA+U) on a relaxed Li7Mn2Co3O12 crystal.

POSCAR file:
```
Li7Mn2Co3O12
1.0
-1.571 1.972 1.353
-3.510 -3.665 1.267
6.765 -3.187 12.502
Li O Co Mn
7 12 3 2
Direct
0.000 0.666 0.173 Li
0.500 0.159 0.662 Li
0.000 0.998 0.498 Li
0.500 0.501 0.501 Li
0.500 0.497 0.994 Li
0.000 0.325 0.826 Li
0.500 0.854 0.345 Li
0.500 0.818 0.595 O
0.500 0.459 0.248 O
0.000 0.657 0.409 O
0.000 0.335 0.094 O
0.000 0.013 0.237 O
0.500 0.514 0.742 O
0.500 0.157 0.923 O
0.000 0.674 0.908 O
0.000 0.352 0.590 O
0.500 0.175 0.412 O
0.000 0.969 0.759 O
0.500 0.877 0.081 O
0.000 0.632 0.656 Co
0.500 0.817 0.829 Co
0.000 0.369 0.349 Co
0.500 0.178 0.170 Mn
0.000 0.003 0.997 Mn
```

Properties
volume: 218 Å³ per cell
energy of formation: -1.667 eV/atom
electronic total energy: -5.663 eV/atom
ΔE to the lowest computed polymorph: 0.266 eV/atom

=====

VASP calculation (GGA+U) on a relaxed Li4MnCo3O8 crystal.

POSCAR file:
```
Li4MnCo3O8
1.0
4.954 -0.184 -1.547
-0.640 5.235 3.004
-0.106 0.092 5.815
O Li Co Mn
8 4 3 1
Direct
0.225 0.878 0.366 O
0.237 0.389 0.356 O
0.228 0.874 0.866 O
0.772 0.627 0.138 O
0.228 0.373 0.862 O
0.775 0.122 0.634 O
0.772 0.126 0.134 O
0.763 0.611 0.644 O
0.503 0.254 0.750 Li
0.500 0.254 0.247 Li
0.497 0.746 0.250 Li
0.500 0.746 0.753 Li
0.000 0.000 0.000 Co
0.000 0.500 0.500 Co
0.000 0.500 0.000 Co
0.000 0.000 0.500 Mn
```

Properties
volume: 148 Å³ per cell
energy of formation: -1.761 eV/atom
electronic total energy: -5.863 eV/atom
ΔE to the lowest computed polymorph: 0.035 eV/atom

=====

VASP calculation (GGA+U) on a relaxed Li4MnCo2O7 crystal.

POSCAR file:
```
Li4MnCo2O7
1.0
-1.878 -2.696 -3.838
3.539 -5.409 1.076
-5.922 -3.829 3.430
O Li Co Mn
14 8 4 2
Direct
0.946 0.583 0.810 O
0.663 0.165 0.388 O
0.879 0.699 0.481 O
0.845 0.860 0.105 O
0.760 0.975 0.747 O
0.240 0.025 0.253 O
0.337 0.835 0.612 O
0.606 0.283 0.061 O
0.054 0.417 0.190 O
0.459 0.556 0.327 O
0.121 0.301 0.519 O
0.541 0.444 0.673 O
0.394 0.717 0.939 O
0.155 0.140 0.895 O
0.574 0.860 0.346 Li
0.426 0.140 0.654 Li
0.288 0.420 0.930 Li
0.848 0.281 0.791 Li
0.152 0.719 0.209 Li
0.000 0.000 0.500 Li
0.712 0.580 0.070 Li
0.500 0.000 0.000 Li
0.214 0.573 0.574 Co
0.068 0.864 0.866 Co
0.786 0.427 0.426 Co
0.932 0.136 0.134 Co
0.358 0.285 0.282 Mn
0.642 0.715 0.718 Mn
```

Properties
volume: 252 Å³ per cell
energy of formation: -1.847 eV/atom
electronic total energy: -5.840 eV/atom
ΔE to the lowest computed polymorph: 0.037 eV/atom

=====

VASP calculation (GGA+U) on a relaxed Li6Mn3CoO10 crystal.

POSCAR file:
```
Li6Mn3CoO10
1.0
1.433 2.661 0.000
-1.433 2.661 0.000
0.000 0.493 24.763
Co Li O Mn
1 6 10 3
Direct
0.200 0.200 0.400 Co
0.080 0.080 0.706 Li
0.896 0.896 0.302 Li
0.301 0.301 0.101 Li
0.714 0.714 0.895 Li
0.406 0.406 0.799 Li
0.506 0.506 0.496 Li
0.226 0.226 0.246 O
0.857 0.857 0.446 O
0.750 0.750 0.748 O
0.049 0.049 0.852 O
0.443 0.443 0.640 O
0.362 0.362 0.959 O
0.634 0.634 0.047 O
0.161 0.161 0.553 O
0.973 0.973 0.154 O
0.541 0.541 0.354 O
0.598 0.598 0.201 Mn
0.003 0.003 0.001 Mn
0.798 0.798 0.598 Mn
```

Properties
volume: 189 Å³ per cell
energy of formation: -1.884 eV/atom
electronic total energy: -5.985 eV/atom
ΔE to the lowest computed polymorph: 0.177 eV/atom

=====

VASP calculation (GGA+U) on a relaxed Li7Mn4CoO12 crystal.

POSCAR file:
```
Li7Mn4CoO12
1.0
-1.573 -0.708 -2.471
-1.500 -4.741 4.130
-7.451 8.910 3.365
Li O Mn Co
7 12 4 1
Direct
0.321 0.656 0.084 Li
0.008 0.998 0.249 Li
0.316 0.660 0.339 Li
0.673 0.348 0.415 Li
0.345 0.664 0.573 Li
0.993 0.999 0.754 Li
0.662 0.335 0.918 Li
0.838 0.689 0.462 O
0.132 0.330 0.280 O
0.483 0.025 0.127 O
0.809 0.683 0.958 O
0.820 0.631 0.201 O
0.535 0.011 0.609 O
0.474 0.999 0.391 O
0.185 0.321 0.047 O
0.196 0.318 0.543 O
0.145 0.344 0.788 O
0.862 0.656 0.712 O
0.526 0.990 0.877 O
0.679 0.334 0.663 Mn
0.999 0.988 0.493 Mn
0.999 0.006 0.004 Mn
0.336 0.668 0.834 Mn
0.663 0.348 0.176 Co
```

Properties
volume: 221 Å³ per cell
energy of formation: -2.018 eV/atom
electronic total energy: -6.182 eV/atom
ΔE to the lowest computed polymorph: 0.066 eV/atom

=====

VASP calculation (GGA+U) on a relaxed Li7Mn2Co3O12 crystal.

POSCAR file:
```
Li7Mn2Co3O12
1.0
1.475 6.383 0.000
-1.475 6.383 0.000
0.000 3.003 11.715
O Co Li Mn
12 3 7 2
Direct
0.846 0.846 0.044 O
0.503 0.503 0.104 O
0.820 0.820 0.794 O
0.166 0.166 0.731 O
0.834 0.834 0.274 O
0.493 0.493 0.633 O
0.828 0.828 0.554 O
0.505 0.505 0.371 O
0.171 0.171 0.209 O
0.170 0.170 0.446 O
0.160 0.160 0.946 O
0.507 0.507 0.889 O
0.348 0.348 0.653 Co
0.652 0.652 0.344 Co
0.327 0.327 0.175 Co
0.001 0.001 0.735 Li
0.334 0.334 0.914 Li
0.666 0.666 0.564 Li
0.666 0.666 0.100 Li
0.335 0.335 0.425 Li
0.000 0.000 0.497 Li
0.998 0.998 0.266 Li
0.000 0.000 0.001 Mn
0.670 0.670 0.831 Mn
```

Properties
volume: 221 Å³ per cell
energy of formation: -1.822 eV/atom
electronic total energy: -5.817 eV/atom
ΔE to the lowest computed polymorph: 0.112 eV/atom

=====

VASP calculation (GGA+U) on a relaxed Li4Mn3CoO8 crystal.

POSCAR file:
```
Li4Mn3CoO8
1.0
3.018 0.000 0.577
1.526 6.264 0.196
-2.975 0.071 7.406
Li O Mn Co
4 8 3 1
Direct
0.875 0.876 0.627 Li
0.377 0.371 0.125 Li
0.623 0.629 0.875 Li
0.125 0.124 0.373 Li
0.820 0.294 0.934 O
0.431 0.956 0.817 O
0.180 0.706 0.066 O
0.569 0.044 0.183 O
0.319 0.795 0.433 O
0.681 0.205 0.567 O
0.070 0.546 0.685 O
0.930 0.454 0.315 O
0.251 0.250 0.752 Mn
0.749 0.750 0.248 Mn
0.500 0.500 0.500 Mn
0.000 0.000 0.000 Co
```

Properties
volume: 151 Å³ per cell
energy of formation: -2.016 eV/atom
electronic total energy: -6.371 eV/atom
ΔE to the lowest computed polymorph: 0.012 eV/atom

=====

VASP calculation (GGA+U) on a relaxed Li7Mn4CoO12 crystal.

POSCAR file:
```
Li7Mn4CoO12
1.0
-1.771 3.814 2.770
-2.807 -4.124 1.020
6.032 -2.229 6.231
Li O Mn Co
7 12 4 1
Direct
0.499 0.003 0.829 Li
0.015 0.511 0.822 Li
0.509 0.505 0.332 Li
0.005 0.503 0.162 Li
0.494 0.500 0.675 Li
0.980 0.485 0.512 Li
0.497 0.495 0.991 Li
0.754 0.234 0.327 O
0.257 0.773 0.013 O
0.230 0.763 0.659 O
0.234 0.245 0.818 O
0.736 0.763 0.513 O
0.274 0.794 0.327 O
0.789 0.780 0.827 O
0.267 0.236 0.157 O
0.745 0.770 0.179 O
0.745 0.220 0.655 O
0.743 0.216 0.017 O
0.227 0.208 0.508 O
0.997 0.996 0.672 Mn
0.508 0.006 0.163 Mn
0.997 0.998 0.337 Mn
0.011 0.007 0.994 Mn
0.488 0.987 0.511 Co
```

Properties
volume: 218 Å³ per cell
energy of formation: -2.063 eV/atom
electronic total energy: -6.227 eV/atom
ΔE to the lowest computed polymorph: 0.021 eV/atom

=====

VASP calculation (GGA+U) on a relaxed Li7Mn2Co3O12 crystal.

POSCAR file:
```
Li7Mn2Co3O12
1.0
0.788 -0.415 -5.734
9.070 -3.453 1.215
-6.387 -5.593 2.382
Mn O Co Li
4 24 6 14
Direct
0.512 0.003 0.013 Mn
0.321 0.330 0.654 Mn
0.821 0.330 0.654 Mn
0.012 0.003 0.013 Mn
0.969 0.825 0.414 O
0.286 0.149 0.075 O
0.716 0.337 0.439 O
0.786 0.149 0.075 O
0.047 0.185 0.592 O
0.545 0.651 0.086 O
0.395 0.993 0.762 O
0.896 0.992 0.762 O
0.609 0.483 0.744 O
0.224 0.851 0.922 O
0.618 0.997 0.228 O
0.040 0.651 0.077 O
0.864 0.511 0.253 O
0.789 0.682 0.580 O
0.215 0.336 0.438 O
0.724 0.851 0.922 O
0.547 0.184 0.592 O
0.364 0.509 0.252 O
0.938 0.341 0.904 O
0.470 0.822 0.414 O
0.109 0.483 0.744 O
0.118 0.997 0.229 O
0.293 0.682 0.590 O
0.437 0.341 0.904 O
0.167 0.667 0.333 Co
0.667 0.667 0.333 Co
0.590 0.837 0.666 Co
0.242 0.495 0.001 Co
0.743 0.496 0.001 Co
0.091 0.838 0.666 Co
0.667 0.167 0.833 Li
0.595 0.333 0.193 Li
0.918 0.667 0.836 Li
0.739 0.000 0.473 Li
0.095 0.330 0.192 Li
0.417 0.167 0.333 Li
0.487 0.492 0.496 Li
0.238 0.003 0.475 Li
0.167 0.167 0.833 Li
0.916 0.167 0.333 Li
0.415 0.666 0.831 Li
0.846 0.841 0.170 Li
0.988 0.493 0.496 Li
0.345 0.841 0.171 Li
```

Properties
volume: 428 Å³ per cell
energy of formation: -1.875 eV/atom
electronic total energy: -5.870 eV/atom
ΔE to the lowest computed polymorph: 0.059 eV/atom

=====

VASP calculation (GGA+U) on a relaxed Li7Mn2Co3O12 crystal.

POSCAR file:
```
Li7Mn2Co3O12
1.0
2.972 0.000 0.000
-1.221 7.504 0.000
-0.397 -1.981 9.661
O Li Co Mn
12 7 3 2
Direct
0.084 0.088 0.387 O
0.406 0.764 0.384 O
0.703 0.423 0.384 O
0.631 0.241 0.617 O
0.775 0.597 0.114 O
0.905 0.755 0.889 O
0.251 0.575 0.616 O
0.518 0.072 0.891 O
0.473 0.912 0.102 O
0.926 0.912 0.616 O
0.226 0.441 0.884 O
0.109 0.229 0.119 O
0.245 0.487 0.238 Li
0.410 0.831 0.752 Li
0.095 0.172 0.752 Li
0.748 0.503 0.753 Li
0.595 0.176 0.245 Li
0.657 0.332 0.008 Li
0.910 0.832 0.253 Li
0.164 0.330 0.501 Co
0.329 0.651 0.996 Co
0.506 0.002 0.502 Co
0.829 0.668 0.498 Mn
0.005 0.007 0.000 Mn
```

Properties
volume: 215 Å³ per cell
energy of formation: -1.856 eV/atom
electronic total energy: -5.852 eV/atom
ΔE to the lowest computed polymorph: 0.077 eV/atom

=====

VASP calculation (GGA+U) on a relaxed Li7Mn4CoO12 crystal.

POSCAR file:
```
Li7Mn4CoO12
1.0
-2.318 0.332 5.492
-6.055 4.402 -1.493
-7.719 -6.629 -0.124
O Li Mn Co
24 14 8 2
Direct
0.186 0.573 0.383 O
0.138 0.601 0.893 O
0.314 0.913 0.394 O
0.690 0.576 0.885 O
0.814 0.914 0.894 O
0.348 0.910 0.881 O
0.634 0.603 0.392 O
0.493 0.237 0.386 O
0.986 0.756 0.119 O
0.699 0.064 0.608 O
0.320 0.426 0.616 O
0.369 0.421 0.106 O
0.519 0.753 0.106 O
0.853 0.911 0.382 O
0.841 0.430 0.614 O
0.836 0.433 0.124 O
0.480 0.755 0.618 O
0.020 0.753 0.606 O
0.147 0.093 0.617 O
0.643 0.090 0.115 O
0.965 0.245 0.894 O
0.013 0.240 0.384 O
0.195 0.066 0.107 O
0.498 0.234 0.876 O
0.667 0.333 0.500 Li
0.821 0.177 0.743 Li
0.808 0.188 0.259 Li
0.025 0.486 0.243 Li
0.671 0.832 0.248 Li
0.167 0.333 0.000 Li
0.512 0.490 0.257 Li
0.161 0.836 0.251 Li
0.308 0.181 0.757 Li
0.663 0.834 0.752 Li
0.525 0.479 0.741 Li
0.333 0.175 0.244 Li
0.172 0.830 0.749 Li
0.000 0.491 0.756 Li
0.499 0.006 0.501 Mn
0.835 0.661 0.499 Mn
0.993 0.005 0.003 Mn
0.340 0.661 0.997 Mn
0.495 0.007 0.995 Mn
0.335 0.662 0.502 Mn
0.999 0.005 0.498 Mn
0.838 0.660 0.005 Mn
0.667 0.333 0.000 Co
0.167 0.333 0.500 Co
```

Properties
volume: 435 Å³ per cell
energy of formation: -2.061 eV/atom
electronic total energy: -6.225 eV/atom
ΔE to the lowest computed polymorph: 0.024 eV/atom